# 1
Here is a relaxed VFeN2 crystal from the Materials Project. Energies are from PBE.

- Space-group type: P6_3/mmc, No. 194
- Formation energy: -0.544 eV/atom
- Energy: -8.921 eV per atom

Lattice parameters (Å, degrees): 2.829 2.829 9.978 90.00 90.00 120.00
Sites, in units of the cell vectors:
V  0.667  0.334  0.750
V  0.333  0.666  0.250
Fe  0.000  0.000  0.500
Fe  0.000  0.000  0.000
N  0.667  0.333  0.374
N  0.333  0.667  0.626
N  0.667  0.333  0.126
N  0.333  0.667  0.874

---

# 2
Here is a relaxed Ca2Al4Si8O33 crystal from the Materials Project. Energies are from PBE.

- Space-group type: C2/m, No. 12
- Formation energy: -2.307 eV/atom
- Energy: -6.783 eV per atom

Lattice parameters (Å, degrees): 10.018 10.018 7.464 75.09 75.09 83.25
Sites, in units of the cell vectors:
O  0.761  0.523  0.456
O  0.939  0.939  0.963
O  0.983  0.738  0.369
O  0.297  0.674  0.734
O  0.763  0.763  0.779
O  0.674  0.297  0.734
O  0.986  0.351  0.268
O  0.199  0.510  0.198
O  0.839  0.592  0.079
O  0.000  0.000  0.500
O  0.592  0.839  0.079
O  0.477  0.239  0.544
O  0.061  0.061  0.037
O  0.326  0.703  0.266
O  0.079  0.921  0.000
O  0.523  0.761  0.456
O  0.014  0.649  0.732
O  0.649  0.014  0.732
O  0.017  0.262  0.631
O  0.490  0.801  0.802
O  0.351  0.986  0.268
O  0.454  0.454  0.258
O  0.510  0.199  0.198
O  0.262  0.017  0.631
O  0.801  0.490  0.802
O  0.239  0.477  0.544
O  0.546  0.546  0.742
O  0.161  0.408  0.921
O  0.921  0.079  0.000
O  0.703  0.326  0.266
O  0.237  0.237  0.221
O  0.738  0.983  0.369
O  0.408  0.161  0.921
Si  0.540  0.306  0.315
Si  0.694  0.460  0.685
Si  0.460  0.694  0.685
Si  0.856  0.622  0.848
Si  0.378  0.144  0.152
Si  0.622  0.856  0.848
Si  0.144  0.378  0.152
Si  0.306  0.540  0.315
Al  0.823  0.436  0.267
Al  0.436  0.823  0.267
Al  0.177  0.564  0.733
Al  0.564  0.177  0.733
Ca  0.752  0.752  0.283
Ca  0.248  0.248  0.717

---

# 3
Here is a relaxed TlC4S4N crystal from the Materials Project. Energies are from PBE.

- Space-group type: P-1, No. 2
- Formation energy: 0.290 eV/atom
- Energy: -5.888 eV per atom

Lattice parameters (Å, degrees): 7.424 10.095 10.141 54.18 100.25 91.98
Sites, in units of the cell vectors:
S  0.412  0.056  0.752
S  0.203  0.670  0.721
S  0.648  0.179  0.449
S  0.588  0.944  0.248
S  0.797  0.330  0.279
S  0.649  0.377  0.994
S  0.351  0.623  0.006
S  0.352  0.821  0.551
Tl  0.765  0.833  0.605
Tl  0.235  0.167  0.395
C  0.755  0.861  0.237
C  0.245  0.139  0.763
C  0.752  0.356  0.884
C  0.889  0.792  0.228
C  0.013  0.731  0.201
C  0.987  0.269  0.799
C  0.248  0.644  0.116
C  0.111  0.208  0.772
N  0.874  0.320  0.838
N  0.126  0.680  0.162

---

# 4
Here is a relaxed KCaAsH16O12 crystal from the Materials Project. Energies are from PBE.

- Space-group type: Amm2, No. 38
- Formation energy: -1.029 eV/atom
- Energy: -4.681 eV per atom

Lattice parameters (Å, degrees): 8.481 8.481 7.497 90.00 90.00 118.77
Sites, in units of the cell vectors:
H  0.982  0.838  0.369
H  0.464  0.932  0.450
H  0.702  0.844  0.603
H  0.736  0.526  0.145
H  0.162  0.018  0.369
H  0.982  0.838  0.631
H  0.156  0.298  0.397
H  0.464  0.932  0.550
H  0.474  0.264  0.855
H  0.702  0.844  0.397
H  0.068  0.536  0.550
H  0.162  0.018  0.631
H  0.474  0.264  0.145
H  0.156  0.298  0.603
H  0.068  0.536  0.450
H  0.736  0.526  0.855
O  0.761  0.824  0.500
O  0.164  0.661  0.000
O  0.351  0.238  0.100
O  0.650  0.350  0.308
O  0.650  0.350  0.692
O  0.095  0.905  0.694
O  0.339  0.836  0.000
O  0.176  0.239  0.500
O  0.762  0.649  0.900
O  0.351  0.238  0.900
O  0.095  0.905  0.306
O  0.762  0.649  0.100
Ca  0.115  0.885  0.000
K  0.411  0.589  0.000
As  0.584  0.416  0.500

---

# 5
Here is a relaxed TiCrAgS4 crystal from the Materials Project. Energies are from PBE.

- Space-group type: Pnma, No. 62
- Formation energy: -1.016 eV/atom
- Energy: -6.004 eV per atom

Lattice parameters (Å, degrees): 6.138 7.150 11.913 90.00 90.00 90.00
Sites, in units of the cell vectors:
S  0.286  0.481  0.826
S  0.814  0.750  0.416
S  0.186  0.250  0.584
S  0.714  0.519  0.174
S  0.775  0.250  0.412
S  0.786  0.981  0.674
S  0.214  0.481  0.326
S  0.714  0.981  0.174
S  0.786  0.519  0.674
S  0.225  0.750  0.588
S  0.314  0.250  0.084
S  0.214  0.019  0.326
S  0.686  0.750  0.916
S  0.275  0.750  0.088
S  0.286  0.019  0.826
S  0.725  0.250  0.912
Ti  0.462  0.750  0.747
Ti  0.538  0.250  0.253
Ti  0.038  0.750  0.247
Ti  0.962  0.250  0.753
Ag  0.925  0.250  0.101
Ag  0.425  0.750  0.399
Ag  0.075  0.750  0.899
Ag  0.575  0.250  0.601
Cr  0.000  0.500  0.500
Cr  0.000  0.000  0.500
Cr  0.500  0.500  0.000
Cr  0.500  0.000  0.000

---

# 6
Here is a relaxed Na4Mg3TiP2S4O24 crystal from the Materials Project. Energies are from PBE.

- Space-group type: P1, No. 1
- Formation energy: -2.517 eV/atom
- Energy: -6.401 eV per atom

Lattice parameters (Å, degrees): 8.788 8.778 22.338 90.26 90.10 119.93
Sites, in units of the cell vectors:
O  0.481  0.322  0.746
O  0.187  0.222  0.693
O  0.031  0.213  0.196
O  0.466  0.313  0.030
O  0.523  0.895  0.360
O  0.210  0.028  0.303
O  0.974  0.175  0.586
O  0.179  0.986  0.910
O  0.649  0.155  0.428
O  0.544  0.696  0.974
O  0.204  0.033  0.587
O  0.851  0.526  0.745
O  0.523  0.836  0.757
O  0.682  0.155  0.744
O  0.687  0.524  0.527
O  0.497  0.355  0.423
O  0.112  0.632  0.363
O  0.135  0.491  0.575
O  0.312  0.484  0.761
O  0.501  0.642  0.575
O  0.134  0.643  0.077
O  0.501  0.629  0.863
O  0.488  0.121  0.636
O  0.144  0.687  0.471
O  0.299  0.842  0.973
O  0.162  0.471  0.257
O  0.814  0.787  0.304
O  0.858  0.504  0.424
O  0.971  0.183  0.303
O  0.356  0.865  0.575
O  0.811  0.021  0.802
O  0.813  0.819  0.909
O  0.186  0.976  0.195
O  0.208  0.188  0.807
O  0.017  0.821  0.411
O  0.315  0.842  0.255
O  0.682  0.524  0.243
O  0.358  0.492  0.078
O  0.200  0.172  0.087
O  0.031  0.813  0.698
O  0.840  0.310  0.243
O  0.638  0.494  0.926
O  0.508  0.867  0.078
O  0.875  0.519  0.136
O  0.126  0.499  0.863
O  0.181  0.192  0.410
O  0.971  0.799  0.086
O  0.635  0.506  0.637
O  0.368  0.870  0.862
O  0.464  0.156  0.529
O  0.167  0.690  0.758
O  0.788  0.817  0.196
O  0.858  0.364  0.925
O  0.831  0.810  0.586
O  0.309  0.452  0.471
O  0.018  0.192  0.909
O  0.471  0.159  0.244
O  0.527  0.685  0.255
O  0.978  0.784  0.807
O  0.775  0.968  0.694
O  0.817  0.992  0.412
O  0.645  0.122  0.140
O  0.844  0.309  0.529
O  0.686  0.157  0.031
O  0.157  0.457  0.973
O  0.545  0.858  0.474
O  0.502  0.145  0.926
O  0.478  0.355  0.139
O  0.828  0.029  0.087
O  0.362  0.477  0.362
O  0.875  0.359  0.637
O  0.849  0.536  0.027
Na  0.677  0.337  0.336
Na  0.660  0.323  0.825
Na  0.325  0.299  0.912
Na  0.634  0.998  0.254
Na  0.988  0.983  0.497
Na  0.322  0.666  0.161
Na  0.363  0.363  0.250
Na  0.307  0.339  0.590
Na  0.328  0.664  0.670
Na  0.990  0.001  0.998
Na  0.666  0.959  0.582
Na  0.977  0.677  0.914
Mg  0.998  0.004  0.849
Mg  0.993  0.997  0.354
Mg  0.335  0.668  0.017
Mg  0.662  0.340  0.688
Mg  0.674  0.340  0.181
Mg  0.339  0.672  0.515
Mg  0.000  0.997  0.145
Mg  0.332  0.676  0.322
Mg  0.000  0.993  0.654
Ti  0.667  0.328  0.977
Ti  0.334  0.658  0.815
Ti  0.671  0.340  0.479
S  0.959  0.625  0.083
S  0.004  0.705  0.752
S  0.666  0.041  0.084
S  0.374  0.334  0.084
S  0.001  0.294  0.250
S  0.709  0.706  0.250
S  0.377  0.043  0.583
S  0.333  0.370  0.417
S  0.702  0.998  0.750
S  0.040  0.666  0.418
S  0.289  0.997  0.250
S  0.958  0.338  0.583
P  0.632  0.966  0.418
P  0.295  0.293  0.751
P  0.044  0.375  0.918
P  0.626  0.671  0.919
P  0.334  0.953  0.918
P  0.668  0.625  0.583

---

# 7
Here is a relaxed ReN2 crystal from the Materials Project. Energies are from PBE.

- Space-group type: Cm, No. 8
- Formation energy: 0.019 eV/atom
- Energy: -9.446 eV per atom

Lattice parameters (Å, degrees): 2.865 2.865 9.292 78.82 78.82 60.13
Sites, in units of the cell vectors:
N  0.454  0.454  0.798
N  0.635  0.635  0.369
N  0.519  0.519  0.643
N  0.340  0.340  0.072
Re  0.061  0.061  0.939
Re  0.245  0.245  0.502

---

# 8
Here is a relaxed Na2ZrSi6O18 crystal from the Materials Project. Energies are from PBE.

- Space-group type: Pbcm, No. 57
- Formation energy: -2.418 eV/atom
- Energy: -7.337 eV per atom

Lattice parameters (Å, degrees): 7.247 14.636 14.907 90.00 90.00 90.00
Sites, in units of the cell vectors:
Si  0.785  0.858  0.894
Si  0.227  0.644  0.888
Si  0.492  0.860  0.547
Si  0.773  0.356  0.112
Si  0.773  0.144  0.112
Si  0.785  0.642  0.894
Si  0.227  0.356  0.612
Si  0.785  0.358  0.606
Si  0.785  0.142  0.606
Si  0.492  0.360  0.953
Si  0.773  0.856  0.388
Si  0.215  0.142  0.106
Si  0.215  0.858  0.394
Si  0.773  0.644  0.388
Si  0.227  0.856  0.888
Si  0.215  0.642  0.394
Si  0.492  0.140  0.953
Si  0.508  0.360  0.453
Si  0.508  0.640  0.047
Si  0.215  0.358  0.106
Si  0.227  0.144  0.612
Si  0.508  0.140  0.453
Si  0.508  0.860  0.047
Si  0.492  0.640  0.547
O  0.729  0.250  0.629
O  0.716  0.081  0.690
O  0.290  0.076  0.691
O  0.271  0.750  0.371
O  0.509  0.588  0.641
O  0.693  0.112  0.510
O  0.710  0.924  0.309
O  0.007  0.133  0.595
O  0.007  0.867  0.905
O  0.007  0.367  0.595
O  0.284  0.419  0.190
O  0.693  0.612  0.990
O  0.693  0.888  0.990
O  0.284  0.581  0.310
O  0.693  0.388  0.510
O  0.716  0.419  0.690
O  0.290  0.424  0.691
O  0.710  0.424  0.191
O  0.491  0.412  0.359
O  0.022  0.174  0.370
O  0.481  0.250  0.926
O  0.307  0.112  0.010
O  0.993  0.367  0.095
O  0.993  0.133  0.095
O  0.022  0.326  0.370
O  0.284  0.081  0.190
O  0.007  0.633  0.905
O  0.672  0.124  0.017
O  0.491  0.912  0.141
O  0.271  0.250  0.129
O  0.672  0.624  0.483
O  0.290  0.924  0.809
O  0.978  0.826  0.630
O  0.307  0.612  0.490
O  0.284  0.919  0.310
O  0.328  0.876  0.983
O  0.710  0.076  0.191
O  0.993  0.867  0.405
O  0.716  0.919  0.810
O  0.726  0.250  0.145
O  0.491  0.088  0.359
O  0.729  0.750  0.871
O  0.307  0.388  0.010
O  0.307  0.888  0.490
O  0.993  0.633  0.405
O  0.716  0.581  0.810
O  0.491  0.588  0.141
O  0.903  0.250  0.844
O  0.274  0.250  0.645
O  0.978  0.326  0.870
O  0.274  0.750  0.855
O  0.672  0.876  0.483
O  0.328  0.124  0.517
O  0.672  0.376  0.017
O  0.328  0.624  0.983
O  0.903  0.750  0.656
O  0.509  0.412  0.859
O  0.290  0.576  0.809
O  0.509  0.912  0.641
O  0.022  0.674  0.130
O  0.978  0.174  0.870
O  0.509  0.088  0.859
O  0.726  0.750  0.355
O  0.978  0.674  0.630
O  0.097  0.750  0.156
O  0.710  0.576  0.309
O  0.519  0.750  0.074
O  0.022  0.826  0.130
O  0.097  0.250  0.344
O  0.481  0.750  0.574
O  0.328  0.376  0.517
O  0.519  0.250  0.426
Na  0.463  0.250  0.266
Na  0.463  0.750  0.234
Na  0.993  0.500  0.250
Na  0.537  0.250  0.766
Na  0.537  0.750  0.734
Na  0.007  0.000  0.750
Na  0.007  0.500  0.750
Na  0.993  0.000  0.250
Zr  0.494  0.000  0.250
Zr  0.506  0.500  0.750
Zr  0.494  0.500  0.250
Zr  0.506  0.000  0.750